(1)
The following is a PBE with a Hubbard U calculation of a relaxed structure of CoP6W3O24, from Materials Project.

Cell: 8.9413 8.9413 8.9413 Å, 58.88 58.88 58.88°
With the nearest neighbours (Å) after each atom.
Positions (direct):
Co  0.0000  0.0000  0.0000  6 O 2.03-2.06
P  0.1077  0.3904  0.8250  4 O 1.49-1.59
P  0.3198  0.8965  0.6140  4 O 1.48-1.59
P  0.3904  0.8250  0.1077  4 O 1.49-1.59
P  0.6140  0.3198  0.8965  4 O 1.48-1.59
P  0.8250  0.1077  0.3904  4 O 1.49-1.59
P  0.8965  0.6140  0.3198  4 O 1.48-1.59
W  0.2170  0.2170  0.2170  6 O 1.99-2.00
W  0.5020  0.5020  0.5020  6 O 1.93-1.94
W  0.7174  0.7174  0.7174  6 O 1.99-2.00
O  0.0688  0.4344  0.3027  1 P 1.56
O  0.0896  0.2256  0.8420  1 P 1.49
O  0.1414  0.3688  0.9909  1 P 1.56
O  0.1473  0.9117  0.7780  1 P 1.48
O  0.2256  0.8420  0.0896  1 P 1.49
O  0.2814  0.4333  0.6452  1 P 1.59
O  0.3027  0.0688  0.4344  1 P 1.56
O  0.3680  0.7241  0.5682  1 P 1.59
O  0.3688  0.9909  0.1414  1 P 1.56
O  0.4333  0.6452  0.2814  1 P 1.59
O  0.4344  0.3027  0.0688  1 P 1.56
O  0.4951  0.8676  0.6376  1 P 1.56
O  0.5682  0.3680  0.7241  1 P 1.59
O  0.5745  0.7952  0.9410  1 P 1.56
O  0.6376  0.4951  0.8676  1 P 1.56
O  0.6452  0.2814  0.4333  1 P 1.59
O  0.7241  0.5682  0.3680  1 P 1.59
O  0.7780  0.1473  0.9117  1 P 1.48
O  0.7952  0.9410  0.5745  1 P 1.56
O  0.8420  0.0896  0.2256  1 P 1.49
O  0.8676  0.6376  0.4951  1 P 1.56
O  0.9117  0.7780  0.1473  1 P 1.48
O  0.9410  0.5745  0.7952  1 P 1.56
O  0.9909  0.1414  0.3688  1 P 1.56



(2)
The following is a PBE with a Hubbard U calculation of a relaxed structure of Li2Fe3BiO8, from Materials Project.

Cell: 6.0844 8.7221 6.2679 Å, 87.57 90.00 90.00°
With the nearest neighbours (Å) after each atom.
Positions (direct):
Fe  0.2497  0.7504  0.2502  6 O 2.03-2.09
Bi  0.5004  0.0000  0.5000  6 O 2.14-2.15
Li  0.9999  0.8697  0.7391  4 O 2.04-2.14
O  0.0007  0.2674  0.5356  3 Fe 2.03-2.04, 1 Li 2.14
O  0.2337  0.4886  0.7444  1 Li 2.04, 2 Fe 2.09, 1 Bi 2.15
O  0.7662  0.5110  0.2556  1 Li 2.04, 2 Fe 2.08-2.09, 1 Bi 2.15
O  0.2663  0.9892  0.2443  1 Li 2.04, 2 Fe 2.08-2.09, 1 Bi 2.15
O  0.7662  0.4890  0.7443  1 Li 2.04, 2 Fe 2.08-2.09, 1 Bi 2.15
O  0.0007  0.7326  0.4644  3 Fe 2.03-2.04, 1 Li 2.14
O  0.0001  0.2556  0.9780  1 Li 2.04, 2 Fe 2.09, 1 Bi 2.14
O  0.7336  0.9890  0.2444  1 Li 2.04, 2 Fe 2.09, 1 Bi 2.14
O  0.2337  0.5113  0.2556  1 Li 2.04, 2 Fe 2.09, 1 Bi 2.15
Fe  0.4992  0.0000  0.0000  6 O 2.03-2.09
Fe  0.2497  0.2496  0.7498  6 O 2.03-2.09
O  0.5007  0.2324  0.9644  3 Fe 2.03-2.04, 1 Li 2.14
O  0.2663  0.0108  0.7557  1 Li 2.04, 2 Fe 2.08-2.09, 1 Bi 2.15
Fe  0.7497  0.7496  0.2498  6 O 2.03-2.09
O  0.0001  0.7444  0.0220  1 Li 2.04, 2 Fe 2.09, 1 Bi 2.14
O  0.5001  0.7558  0.4780  1 Li 2.04, 2 Fe 2.09, 1 Bi 2.14
O  0.7336  0.0110  0.7556  1 Li 2.04, 2 Fe 2.09, 1 Bi 2.15
Li  0.9999  0.1303  0.2609  4 O 2.04-2.14
O  0.5007  0.7676  0.0356  3 Fe 2.03-2.04, 1 Li 2.14
Fe  0.7497  0.2504  0.7502  6 O 2.03-2.09
Li  0.4999  0.3695  0.2391  4 O 2.04-2.14
O  0.5001  0.2442  0.5220  1 Li 2.04, 2 Fe 2.09, 1 Bi 2.14
Li  0.4999  0.6305  0.7609  4 O 2.04-2.14
Bi  0.0004  0.5000  0.0000  6 O 2.14-2.15
Fe  0.9991  0.5000  0.5000  6 O 2.03-2.09



In eV per atom, the DFT formation energy values for the records above are, in order, -2.43, -1.74.